Entry 1:
# BaLa2TiCr2O9

A geometry-optimized BaLa2TiCr2O9 structure (GGA+U, the Materials Project).

Structure (POSCAR):
```
BaLa2TiCr2O9
1.0
-0.895 -5.558 -0.352
3.295 -3.850 7.219
-6.967 0.890 3.655
Ba La Ti Cr O
2 4 2 4 18
direct
0.000 0.000 0.000 Ba
0.000 0.000 0.500 Ba
0.328 0.343 0.000 La
0.328 0.343 0.500 La
0.672 0.657 0.000 La
0.671 0.657 0.500 La
0.500 0.000 0.250 Ti
0.500 0.000 0.750 Ti
0.833 0.334 0.750 Cr
0.167 0.666 0.250 Cr
0.833 0.334 0.250 Cr
0.167 0.666 0.750 Cr
0.500 0.000 0.000 O
0.500 0.000 0.500 O
0.000 0.500 0.250 O
0.000 0.500 0.750 O
0.500 0.500 0.250 O
0.500 0.500 0.750 O
0.175 0.650 0.000 O
0.175 0.650 0.500 O
0.825 0.350 0.000 O
0.825 0.350 0.500 O
0.350 0.827 0.250 O
0.350 0.827 0.750 O
0.650 0.173 0.250 O
0.650 0.173 0.750 O
0.823 0.827 0.250 O
0.823 0.827 0.750 O
0.177 0.173 0.250 O
0.177 0.173 0.750 O
```

## Properties
Relative energy among the computed polymorphs ... 0.0000 eV/atom
Total magnetic moment ... 0.00 μB per cell
DFT total energy ... -122.20 eV per formula unit


Entry 2:
# Li6Mn2C4SO16

A geometry-optimized Li6Mn2C4SO16 structure (GGA+U, the Materials Project).

Structure (POSCAR):
```
Li6Mn2C4SO16
1.0
-0.428 -0.905 9.468
-1.796 7.609 5.433
-8.362 0.781 4.484
Li Mn C S O
12 4 8 2 32
direct
0.717 0.717 0.283 Li
0.967 0.967 0.533 Li
0.283 0.717 0.717 Li
0.717 0.283 0.283 Li
0.967 0.533 0.967 Li
0.533 0.967 0.533 Li
0.283 0.717 0.283 Li
0.717 0.283 0.717 Li
0.533 0.967 0.967 Li
0.533 0.533 0.967 Li
0.967 0.533 0.533 Li
0.283 0.283 0.717 Li
0.625 0.125 0.125 Mn
0.125 0.125 0.125 Mn
0.125 0.625 0.125 Mn
0.125 0.125 0.625 Mn
0.351 0.946 0.351 C
0.899 0.899 0.899 C
0.304 0.899 0.899 C
0.351 0.351 0.946 C
0.899 0.899 0.304 C
0.946 0.351 0.351 C
0.351 0.351 0.351 C
0.899 0.304 0.899 C
0.750 0.750 0.750 S
0.500 0.500 0.500 S
0.686 0.686 0.686 O
0.943 0.686 0.686 O
0.686 0.686 0.943 O
0.686 0.943 0.686 O
0.905 0.032 0.304 O
0.759 0.304 0.032 O
0.905 0.759 0.032 O
0.218 0.946 0.345 O
0.032 0.905 0.759 O
0.304 0.759 0.905 O
0.759 0.032 0.905 O
0.345 0.946 0.491 O
0.946 0.345 0.218 O
0.032 0.759 0.304 O
0.946 0.218 0.491 O
0.759 0.905 0.304 O
0.304 0.032 0.759 O
0.491 0.345 0.946 O
0.218 0.491 0.946 O
0.304 0.905 0.032 O
0.905 0.304 0.759 O
0.491 0.218 0.345 O
0.946 0.491 0.345 O
0.218 0.345 0.491 O
0.345 0.491 0.218 O
0.032 0.304 0.905 O
0.491 0.946 0.218 O
0.345 0.218 0.946 O
0.564 0.307 0.564 O
0.564 0.564 0.307 O
0.307 0.564 0.564 O
0.564 0.564 0.564 O
```

## Properties
Total magnetic moment ... 20.00 μB per cell
DFT total energy ... -197.48 eV per formula unit


Entry 3:
# CrSiAg6O8

A geometry-optimized CrSiAg6O8 structure (GGA+U, the Materials Project).

Structure (POSCAR):
```
CrSiAg6O8
1.0
-3.537 3.537 9.245
3.537 -3.537 9.245
3.537 3.537 -9.245
Cr Si Ag O
2 2 12 16
direct
0.750 0.250 0.500 Cr
0.000 0.000 0.000 Cr
0.250 0.750 0.500 Si
0.500 0.500 0.000 Si
0.170 0.625 0.045 Ag
0.580 0.625 0.455 Ag
0.375 0.420 0.545 Ag
0.875 0.420 0.045 Ag
0.170 0.125 0.545 Ag
0.580 0.125 0.955 Ag
0.375 0.830 0.955 Ag
0.875 0.830 0.455 Ag
0.740 0.740 0.000 Ag
0.490 0.990 0.500 Ag
0.010 0.510 0.500 Ag
0.260 0.260 0.000 Ag
0.109 0.802 0.308 O
0.494 0.802 0.692 O
0.552 0.359 0.808 O
0.552 0.744 0.192 O
0.641 0.448 0.192 O
0.256 0.448 0.808 O
0.198 0.891 0.692 O
0.198 0.506 0.308 O
0.801 0.106 0.305 O
0.856 0.051 0.805 O
0.247 0.051 0.195 O
0.801 0.497 0.695 O
0.949 0.144 0.195 O
0.894 0.199 0.695 O
0.503 0.199 0.305 O
0.949 0.753 0.805 O
```

## Properties
Total magnetic moment ... 0.00 μB per cell
DFT total energy ... -83.54 eV per formula unit


Entry 4:
# Rb2BiMoPO8

A geometry-optimized Rb2BiMoPO8 structure (GGA+U, the Materials Project).

Structure (POSCAR):
```
Rb2BiMoPO8
1.0
1.402 -2.627 12.331
1.431 10.763 6.559
-7.615 -7.167 -7.181
Rb Bi Mo P O
8 4 4 4 32
direct
0.240 0.623 0.548 Rb
0.260 0.808 0.382 Rb
0.925 0.877 0.118 Rb
0.575 0.692 0.952 Rb
0.760 0.377 0.452 Rb
0.740 0.192 0.618 Rb
0.075 0.123 0.882 Rb
0.425 0.308 0.048 Rb
0.167 0.750 0.917 Bi
0.333 0.250 0.583 Bi
0.833 0.250 0.083 Bi
0.667 0.750 0.417 Bi
0.087 0.337 0.750 Mo
0.413 0.163 0.250 Mo
0.913 0.663 0.250 Mo
0.587 0.837 0.750 Mo
0.927 0.750 0.677 P
0.573 0.250 0.823 P
0.073 0.250 0.323 P
0.427 0.750 0.177 P
0.942 0.717 0.777 O
0.558 0.335 0.775 O
0.060 0.783 0.725 O
0.440 0.165 0.723 O
0.058 0.283 0.223 O
0.442 0.665 0.225 O
0.940 0.217 0.275 O
0.560 0.835 0.277 O
0.102 0.587 0.917 O
0.398 0.316 0.485 O
0.330 0.913 0.015 O
0.170 0.184 0.583 O
0.898 0.413 0.083 O
0.602 0.684 0.515 O
0.670 0.087 0.985 O
0.830 0.816 0.417 O
0.360 0.592 0.932 O
0.140 0.072 0.231 O
0.340 0.908 0.269 O
0.160 0.428 0.568 O
0.640 0.408 0.068 O
0.860 0.928 0.769 O
0.660 0.092 0.731 O
0.840 0.572 0.432 O
0.928 0.225 0.577 O
0.572 0.150 0.298 O
0.352 0.275 0.202 O
0.148 0.350 0.923 O
0.072 0.775 0.423 O
0.428 0.850 0.702 O
0.648 0.725 0.798 O
0.852 0.650 0.077 O
```

## Properties
Total magnetic moment ... 0.00 μB per cell
DFT total energy ... -83.21 eV per formula unit


Entry 5:
# Ba6Nd2YMo3O18

A geometry-optimized Ba6Nd2YMo3O18 structure (GGA+U, the Materials Project).

Structure (POSCAR):
```
Ba6Nd2YMo3O18
1.0
4.329 9.552 0.000
-4.329 9.552 0.000
0.000 1.924 5.779
Ba Nd Y Mo O
6 2 1 3 18
direct
0.916 0.416 0.334 Ba
0.250 0.750 0.000 Ba
0.584 0.084 0.666 Ba
0.750 0.250 0.000 Ba
0.084 0.584 0.666 Ba
0.416 0.916 0.334 Ba
0.167 0.167 0.833 Nd
0.833 0.833 0.167 Nd
0.500 0.500 0.500 Y
0.000 0.000 0.500 Mo
0.335 0.335 0.164 Mo
0.665 0.665 0.836 Mo
0.900 0.432 0.834 O
0.231 0.769 0.500 O
0.568 0.100 0.166 O
0.769 0.231 0.500 O
0.100 0.568 0.166 O
0.432 0.900 0.834 O
0.751 0.751 0.547 O
0.422 0.422 0.868 O
0.090 0.090 0.212 O
0.910 0.910 0.788 O
0.578 0.578 0.132 O
0.249 0.249 0.453 O
0.067 0.067 0.698 O
0.730 0.730 0.033 O
0.402 0.402 0.363 O
0.933 0.933 0.302 O
0.598 0.598 0.637 O
0.270 0.270 0.967 O
```

## Properties
Total magnetic moment ... 3.00 μB per cell
DFT total energy ... -217.45 eV per formula unit


Entry 6:
# CoTe2O5

A geometry-optimized CoTe2O5 structure (GGA+U, the Materials Project).

Structure (POSCAR):
```
CoTe2O5
1.0
6.042 0.000 0.000
0.000 7.414 0.000
0.000 0.000 10.767
Co Te O
4 8 20
direct
0.750 0.500 0.561 Co
0.250 0.500 0.439 Co
0.750 0.000 0.061 Co
0.250 0.000 0.939 Co
0.990 0.636 0.847 Te
0.490 0.636 0.153 Te
0.490 0.864 0.653 Te
0.990 0.864 0.347 Te
0.010 0.136 0.653 Te
0.510 0.136 0.347 Te
0.010 0.364 0.153 Te
0.510 0.364 0.847 Te
0.750 0.500 0.941 O
0.250 0.500 0.059 O
0.449 0.648 0.564 O
0.949 0.648 0.436 O
0.811 0.692 0.707 O
0.311 0.692 0.293 O
0.311 0.808 0.793 O
0.811 0.808 0.207 O
0.949 0.852 0.936 O
0.449 0.852 0.064 O
0.750 0.000 0.441 O
0.250 0.000 0.559 O
0.551 0.148 0.936 O
0.051 0.148 0.064 O
0.189 0.192 0.793 O
0.689 0.192 0.207 O
0.689 0.308 0.707 O
0.189 0.308 0.293 O
0.051 0.352 0.564 O
0.551 0.352 0.436 O
```

## Properties
Relative energy among the computed polymorphs ... 0.0064 eV/atom
DFT total energy ... -44.78 eV per formula unit


Entry 7:
# AlFe2O4

A geometry-optimized AlFe2O4 structure (GGA+U, the Materials Project).

Structure (POSCAR):
```
AlFe2O4
1.0
-4.599 -3.078 2.107
-3.427 2.323 4.233
-5.529 1.699 -1.267
Al Fe O
2 4 8
direct
0.250 0.250 0.250 Al
0.000 0.000 0.000 Al
0.625 0.125 0.625 Fe
0.625 0.625 0.125 Fe
0.125 0.625 0.625 Fe
0.625 0.625 0.625 Fe
0.876 0.373 0.876 O
0.374 0.374 0.877 O
0.877 0.374 0.374 O
0.374 0.374 0.374 O
0.373 0.876 0.876 O
0.876 0.876 0.876 O
0.876 0.876 0.373 O
0.374 0.877 0.374 O
```

## Properties
Relative energy among the computed polymorphs ... 0.0171 eV/atom
Total magnetic moment ... 18.00 μB per cell
DFT total energy ... -48.74 eV per formula unit


Entry 8:
# CaTiMnP3O12

A geometry-optimized CaTiMnP3O12 structure (GGA+U, the Materials Project).

Structure (POSCAR):
```
CaTiMnP3O12
1.0
-1.291 -0.038 -8.848
-7.679 -2.484 -3.542
-5.395 5.810 -3.891
Ca Ti Mn P O
2 2 2 6 24
direct
0.997 0.999 0.998 Ca
0.497 0.499 0.497 Ca
0.148 0.145 0.148 Ti
0.649 0.647 0.645 Ti
0.354 0.356 0.348 Mn
0.849 0.851 0.858 Mn
0.039 0.462 0.751 P
0.455 0.748 0.043 P
0.755 0.039 0.462 P
0.256 0.964 0.539 P
0.541 0.248 0.958 P
0.957 0.543 0.250 P
0.113 0.520 0.292 O
0.300 0.129 0.501 O
0.054 0.274 0.924 O
0.518 0.289 0.117 O
0.007 0.625 0.796 O
0.225 0.438 0.586 O
0.267 0.919 0.058 O
0.427 0.576 0.230 O
0.208 0.001 0.372 O
0.591 0.227 0.438 O
0.094 0.942 0.726 O
0.373 0.204 0.999 O
0.609 0.787 0.026 O
0.926 0.052 0.276 O
0.428 0.777 0.550 O
0.799 0.005 0.625 O
0.557 0.420 0.769 O
0.727 0.079 0.932 O
0.770 0.557 0.421 O
0.999 0.372 0.204 O
0.498 0.703 0.872 O
0.930 0.730 0.080 O
0.708 0.872 0.500 O
0.873 0.500 0.706 O
```

## Properties
Relative energy among the computed polymorphs ... 0.0000 eV/atom
Total magnetic moment ... 8.00 μB per cell
DFT total energy ... -137.34 eV per formula unit


Number 1: energy relative to the elements -3257 meV/atom, density 6.33 Mg/m³. Number 2: energy relative to the elements -2131 meV/atom, density 2.65 Mg/m³. Number 3: energy relative to the elements -1211 meV/atom, density 6.14 Mg/m³. Number 4: energy relative to the elements -2324 meV/atom, density 4.46 Mg/m³. Number 5: energy relative to the elements -3010 meV/atom, density 6.17 Mg/m³. Number 6: energy relative to the elements -1465 meV/atom, density 5.43 Mg/m³. Number 7: energy relative to the elements -2217 meV/atom, density 4.59 Mg/m³. Number 8: energy relative to the elements -2921 meV/atom, density 2.99 Mg/m³.